# 1
Entry from Materials Project: an optimized crystal structure of Lu4MnGe8 (PBE-GGA).

Cell: 3.952 4.137 15.718 Å, 90.00 90.00 90.00°
Fractional positions:
Lu  0.750  0.000  0.896
Lu  0.250  0.500  0.608
Lu  0.750  0.500  0.399
Lu  0.250  0.000  0.100
Mn  0.250  0.000  0.311
Ge  0.250  0.000  0.749
Ge  0.250  0.500  0.239
Ge  0.750  0.000  0.233
Ge  0.250  0.000  0.460
Ge  0.750  0.500  0.056
Ge  0.750  0.500  0.754
Ge  0.750  0.000  0.567
Ge  0.250  0.500  0.944

Formation energy from the elements = -0.506 eV/atom
Space-group type = Pmm2 (25)

---

# 2
Entry from Materials Project: an optimized crystal structure of Sc3Si3Ni2 (PBE-GGA).

Cell: 5.229 5.229 13.076 Å, 90.00 90.00 135.26°
Fractional positions:
Si  0.660  0.340  0.250
Si  0.616  0.384  0.961
Si  0.384  0.616  0.461
Si  0.340  0.660  0.750
Si  0.384  0.616  0.039
Si  0.616  0.384  0.539
Ni  0.208  0.792  0.596
Ni  0.208  0.792  0.904
Ni  0.792  0.208  0.096
Ni  0.792  0.208  0.404
Sc  0.362  0.638  0.250
Sc  0.083  0.917  0.112
Sc  0.917  0.083  0.888
Sc  0.917  0.083  0.612
Sc  0.638  0.362  0.750
Sc  0.083  0.917  0.388

Formation energy from the elements = -0.879 eV/atom
Space-group type = Cmcm (63)

---

# 3
Entry from Materials Project: an optimized crystal structure of Rb3YO3 (PBE-GGA).

Cell: 7.360 7.360 7.303 Å, 85.22 85.22 116.18°
Fractional positions:
Rb  0.205  0.795  0.500
Rb  0.637  0.637  0.643
Rb  0.261  0.739  0.000
Rb  0.795  0.205  0.500
Rb  0.363  0.363  0.357
Rb  0.739  0.261  0.000
O  0.170  0.448  0.731
O  0.897  0.897  0.844
O  0.552  0.830  0.269
O  0.448  0.170  0.731
O  0.103  0.103  0.156
O  0.830  0.552  0.269
Y  0.178  0.178  0.850
Y  0.822  0.822  0.150

ΔE to the lowest computed polymorph = 0.012 eV/atom
Formation energy from the elements = -2.192 eV/atom
Space-group type = C2/m (12)

---

# 4
Entry from Materials Project: an optimized crystal structure of NaMg6BO8 (PBE-GGA).

Cell: 8.033 4.394 4.394 Å, 90.00 90.00 90.00°
Fractional positions:
O  0.000  0.000  0.500
O  0.749  0.500  0.500
O  0.000  0.500  0.000
O  0.500  0.000  0.500
O  0.500  0.500  0.000
O  0.251  0.500  0.500
O  0.676  0.000  0.000
O  0.324  0.000  0.000
Na  0.000  0.000  0.000
Mg  0.500  0.500  0.500
Mg  0.000  0.500  0.500
Mg  0.745  0.500  0.000
Mg  0.255  0.000  0.500
Mg  0.255  0.500  0.000
Mg  0.745  0.000  0.500
B  0.500  0.000  0.000

ΔE to the lowest computed polymorph = 0.000 eV/atom
Formation energy from the elements = -2.657 eV/atom
Space-group type = P4/mmm (123)

---

| no. | energy (eV/atom) |
| --- | --- |
| 1 | -5.447 |
| 2 | -6.733 |
| 3 | -5.362 |
| 4 | -5.888 |